LiSc2Pd | PBE | relaxed

Calculated values
Formation energy from the elements   -0.4463 eV/atom

extended XYZ file:
```
4
Lattice="-4.277 1.059 1.702 -2.126 4.017 -1.286 -3.771 -0.129 -2.841" Properties=species:S:1:pos:R:3 pbc="T T T"
Sc -2.543 1.237 -0.606
Li -5.087 2.473 -1.213
Sc -7.630 3.710 -1.819
Pd 0.000 0.000 0.000
```